VASP calculation (PBE) on an optimized crystal structure of KMg14CO16.

## Properties
polymorph energy (0 for the lowest one): 0.0 meV/atom

abc: 4.456 8.173 9.077
angles: 90.00 90.00 90.00
Space group Pmmm (No. 47)
Unique sites:
K: 0.000 0.000 0.000
Mg: 0.000 0.000 0.500
Mg: 0.000 0.255 0.271
Mg: 0.000 0.500 0.500
Mg: 0.500 0.000 0.253
Mg: 0.500 0.251 0.500
Mg: 0.500 0.259 0.000
Mg: 0.500 0.500 0.249
C: 0.000 0.500 0.000
O: 0.000 0.000 0.273
O: 0.000 0.249 0.500
O: 0.000 0.339 0.000
O: 0.000 0.500 0.278
O: 0.500 0.000 0.000
O: 0.500 0.000 0.500
O: 0.500 0.250 0.244
O: 0.500 0.500 0.000
O: 0.500 0.500 0.500